A relaxed K2SrTh2Mo6O24 crystal, computed with PBE+U.

Unit cell a=8.0822 b=8.4600 c=16.1789 alpha=101.55 beta=102.48 gamma=97.01
Atoms (fractional coordinates):
K 0.1452 0.4963 0.1584
K 0.1930 0.7148 0.4355
K 0.8070 0.2852 0.5645
K 0.8548 0.5037 0.8416
Sr 0.3371 0.3707 0.8405
Sr 0.6629 0.6293 0.1595
Th 0.0669 0.0025 0.1615
Th 0.3103 0.3058 0.5037
Th 0.6897 0.6942 0.4963
Th 0.9331 0.9975 0.8385
Mo 0.0864 0.0514 0.6508
Mo 0.1408 0.6781 0.6652
Mo 0.2260 0.7632 0.9957
Mo 0.3866 0.1654 0.0118
Mo 0.4622 0.3706 0.3178
Mo 0.4738 0.0028 0.6608
Mo 0.5262 0.9972 0.3392
Mo 0.5378 0.6294 0.6822
Mo 0.6134 0.8346 0.9882
Mo 0.7740 0.2368 0.0043
Mo 0.8592 0.3219 0.3348
Mo 0.9136 0.9486 0.3492
O 0.0281 0.1741 0.7451
O 0.0446 0.8246 0.9216
O 0.0544 0.3788 0.4232
O 0.0785 0.8685 0.7288
O 0.1098 0.5458 0.7333
O 0.1232 0.0528 0.4169
O 0.1281 0.7528 0.0875
O 0.1367 0.2080 0.5936
O 0.1976 0.5564 0.9377
O 0.2028 0.1518 0.9168
O 0.2137 0.8841 0.5982
O 0.2530 0.2617 0.2549
O 0.2689 0.0394 0.0714
O 0.2755 0.5467 0.5963
O 0.3252 0.9426 0.2605
O 0.3432 0.1154 0.7284
O 0.3857 0.8889 0.9389
O 0.4023 0.7856 0.7258
O 0.4050 0.3659 0.0748
O 0.4099 0.4992 0.4179
O 0.4626 0.7668 0.0654
O 0.4673 0.1939 0.4075
O 0.4827 0.1357 0.5866
O 0.4955 0.5281 0.2628
O 0.5045 0.4719 0.7372
O 0.5173 0.8643 0.4134
O 0.5327 0.8061 0.5925
O 0.5374 0.2332 0.9346
O 0.5901 0.5008 0.5821
O 0.5950 0.6341 0.9252
O 0.5977 0.2144 0.2742
O 0.6143 0.1111 0.0611
O 0.6568 0.8846 0.2716
O 0.6748 0.0574 0.7395
O 0.7245 0.4533 0.4037
O 0.7311 0.9606 0.9286
O 0.7470 0.7383 0.7451
O 0.7863 0.1159 0.4018
O 0.7972 0.8482 0.0832
O 0.8024 0.4436 0.0623
O 0.8633 0.7920 0.4064
O 0.8719 0.2472 0.9125
O 0.8768 0.9472 0.5831
O 0.8902 0.4542 0.2667
O 0.9215 0.1315 0.2712
O 0.9456 0.6212 0.5768
O 0.9554 0.1754 0.0784
O 0.9719 0.8259 0.2549

Output
- E_tot: -7.312 eV/atom

***

A relaxed BaSr7Fe8O24 crystal, computed with PBE+U.

Unit cell a=7.8642 b=7.8642 c=7.8642 alpha=90.00 beta=90.00 gamma=90.00
Atoms (fractional coordinates):
Ba 0.0000 0.0000 0.0000
Sr 0.0000 0.0000 0.5000
Sr 0.0000 0.5000 0.0000
Sr 0.0000 0.5000 0.5000
Sr 0.5000 0.0000 0.0000
Sr 0.5000 0.0000 0.5000
Sr 0.5000 0.5000 0.0000
Sr 0.5000 0.5000 0.5000
Fe 0.2511 0.2511 0.2511
Fe 0.2511 0.2511 0.7489
Fe 0.2511 0.7489 0.2511
Fe 0.2511 0.7489 0.7489
Fe 0.7489 0.2511 0.2511
Fe 0.7489 0.2511 0.7489
Fe 0.7489 0.7489 0.2511
Fe 0.7489 0.7489 0.7489
O 0.0000 0.2545 0.2545
O 0.0000 0.2545 0.7455
O 0.0000 0.7455 0.2545
O 0.0000 0.7455 0.7455
O 0.2510 0.2510 0.5000
O 0.2510 0.5000 0.2510
O 0.2510 0.5000 0.7490
O 0.2510 0.7490 0.5000
O 0.2545 0.0000 0.2545
O 0.2545 0.0000 0.7455
O 0.2545 0.2545 0.0000
O 0.2545 0.7455 0.0000
O 0.5000 0.2510 0.2510
O 0.5000 0.2510 0.7490
O 0.5000 0.7490 0.2510
O 0.5000 0.7490 0.7490
O 0.7455 0.0000 0.2545
O 0.7455 0.0000 0.7455
O 0.7455 0.2545 0.0000
O 0.7455 0.7455 0.0000
O 0.7490 0.2510 0.5000
O 0.7490 0.5000 0.2510
O 0.7490 0.5000 0.7490
O 0.7490 0.7490 0.5000

Output
- E_tot: -6.353 eV/atom

***

A relaxed Na3PrV2O8 crystal, computed with PBE+U.

Unit cell a=15.1076 b=15.1076 c=14.4343 alpha=91.37 beta=91.37 gamma=21.66
Atoms (fractional coordinates):
Na 0.0029 0.9971 0.5000
Na 0.0445 0.1553 0.8421
Na 0.1553 0.0445 0.3421
Na 0.1601 0.2538 0.1818
Na 0.2538 0.1601 0.6818
Na 0.2985 0.3182 0.0264
Na 0.3182 0.2985 0.5264
Na 0.4267 0.4379 0.4424
Na 0.4379 0.4267 0.9424
Na 0.5163 0.5460 0.6216
Na 0.5460 0.5163 0.1216
Na 0.6435 0.6600 0.7630
Na 0.6600 0.6435 0.2630
Na 0.7650 0.7773 0.9088
Na 0.7773 0.7650 0.4088
Na 0.8551 0.8898 0.0897
Na 0.8898 0.8551 0.5897
Na 0.9971 0.0029 0.0000
Pr 0.0151 0.9386 0.2486
Pr 0.2906 0.3705 0.2811
Pr 0.3705 0.2906 0.7811
Pr 0.5519 0.7535 0.0162
Pr 0.7535 0.5519 0.5162
Pr 0.9386 0.0151 0.7486
V 0.0510 0.1400 0.1097
V 0.1400 0.0510 0.6097
V 0.1619 0.2596 0.9147
V 0.2596 0.1619 0.4147
V 0.4098 0.4396 0.6630
V 0.4396 0.4098 0.1630
V 0.5109 0.5741 0.8690
V 0.5741 0.5109 0.3690
V 0.7341 0.7956 0.1591
V 0.7956 0.7341 0.6591
V 0.8758 0.8912 0.3700
V 0.8912 0.8758 0.8700
O 0.0139 0.0643 0.1402
O 0.0315 0.1692 0.4988
O 0.0560 0.2964 0.3430
O 0.0643 0.0139 0.6402
O 0.0798 0.6303 0.4222
O 0.1066 0.4499 0.6794
O 0.1270 0.2875 0.5234
O 0.1298 0.5869 0.9019
O 0.1692 0.0315 0.9988
O 0.1706 0.7265 0.6256
O 0.2030 0.8603 0.8420
O 0.2311 0.3035 0.8833
O 0.2387 0.6704 0.1140
O 0.2661 0.9951 0.1764
O 0.2875 0.1270 0.0234
O 0.2964 0.0560 0.8430
O 0.3035 0.2311 0.3833
O 0.3631 0.3722 0.6311
O 0.3722 0.3631 0.1311
O 0.3836 0.6706 0.2737
O 0.4153 0.4390 0.2817
O 0.4390 0.4153 0.7817
O 0.4499 0.1066 0.1794
O 0.4551 0.7666 0.6160
O 0.4582 0.5652 0.4628
O 0.5431 0.8466 0.4156
O 0.5652 0.4582 0.9628
O 0.5802 0.6201 0.3895
O 0.5869 0.1298 0.4019
O 0.6201 0.5802 0.8895
O 0.6303 0.0798 0.9222
O 0.6452 0.9179 0.7561
O 0.6704 0.2387 0.6140
O 0.6706 0.3836 0.7737
O 0.6918 0.7218 0.6429
O 0.7218 0.6918 0.1429
O 0.7256 0.8615 0.5641
O 0.7265 0.1706 0.1256
O 0.7666 0.4551 0.1160
O 0.8452 0.9183 0.7516
O 0.8466 0.5431 0.9156
O 0.8603 0.2030 0.3420
O 0.8615 0.7256 0.0641
O 0.9179 0.6452 0.2561
O 0.9183 0.8452 0.2516
O 0.9382 0.9430 0.4008
O 0.9430 0.9382 0.9008
O 0.9951 0.2661 0.6764

Output
- Excess energy over the best structure of this formula in the dataset: 0.001 eV/atom
- E_tot: -6.771 eV/atom

***

A relaxed MgMnV4NiO12 crystal, computed with PBE+U.

Unit cell a=5.7469 b=6.8962 c=6.8990 alpha=80.09 beta=73.13 gamma=73.22
Atoms (fractional coordinates):
Mg 0.0000 0.0000 0.0000
Mn 0.4989 0.8026 0.1978
V 0.0007 0.5376 0.8853
V 0.4929 0.9152 0.6628
V 0.5051 0.3374 0.0855
V 0.9983 0.1152 0.4625
Ni 0.9986 0.6455 0.3551
O 0.0301 0.6246 0.6386
O 0.0942 0.9299 0.2742
O 0.1626 0.0375 0.6841
O 0.3161 0.3749 0.9185
O 0.3920 0.5259 0.2493
O 0.4660 0.7989 0.9080
O 0.5296 0.0929 0.2030
O 0.6056 0.7510 0.4746
O 0.6823 0.0822 0.6251
O 0.8356 0.3158 0.9631
O 0.9030 0.7265 0.0701
O 0.9669 0.3620 0.3752

Output
- Excess energy over the best structure of this formula in the dataset: 0.154 eV/atom
- E_tot: -6.967 eV/atom

***

Number 1: M_tot 0.00 μB per cell. Number 2: M_tot 33.21 μB per cell. Number 3: M_tot 0.00 μB per cell. Number 4: M_tot 5.09 μB per cell.